Entry 1:
The following is a DFT calculation (PBE-GGA) of a geometry-optimized Mn2Sb2H8S5N4 structure.

```
Mn2Sb2H8S5N4
1.0
8.931 0.000 0.000
0.612 9.005 0.000
3.862 2.945 7.654
Mn Sb H S N
4 4 16 10 8
Direct
0.044 0.402 0.179
0.383 0.044 0.190
0.617 0.956 0.810
0.956 0.598 0.821
0.159 0.844 0.998
0.319 0.302 0.770
0.681 0.698 0.230
0.841 0.156 0.002
0.036 0.767 0.458
0.107 0.964 0.551
0.189 0.680 0.486
0.273 0.876 0.540
0.288 0.221 0.429
0.313 0.489 0.247
0.366 0.429 0.082
0.477 0.282 0.274
0.523 0.718 0.726
0.634 0.571 0.918
0.687 0.511 0.753
0.712 0.779 0.571
0.727 0.124 0.460
0.811 0.320 0.514
0.893 0.036 0.449
0.964 0.233 0.542
0.080 0.364 0.690
0.159 0.163 0.089
0.212 0.622 0.880
0.378 0.798 0.107
0.393 0.061 0.690
0.607 0.939 0.310
0.622 0.202 0.893
0.788 0.378 0.120
0.841 0.837 0.911
0.920 0.636 0.310
0.101 0.750 0.534
0.191 0.903 0.482
0.294 0.396 0.214
0.357 0.254 0.296
0.643 0.746 0.704
0.706 0.604 0.786
0.809 0.097 0.518
0.899 0.250 0.466
```

=====

Entry 2:
The following is a DFT calculation (PBE-GGA) of a geometry-optimized Th6Mn23H16 structure.

```
Th6Mn23H16
1.0
8.889 0.000 0.000
0.000 8.889 0.000
0.000 0.000 12.822
Th Mn H
12 46 32
Direct
0.000 0.000 0.211
0.000 0.000 0.789
0.213 0.213 0.000
0.226 0.774 0.000
0.274 0.274 0.500
0.287 0.713 0.500
0.500 0.500 0.289
0.500 0.500 0.711
0.713 0.287 0.500
0.726 0.726 0.500
0.774 0.226 0.000
0.787 0.787 0.000
0.000 0.000 0.500
0.000 0.500 0.000
0.000 0.500 0.500
0.004 0.637 0.181
0.004 0.637 0.819
0.022 0.745 0.360
0.022 0.745 0.640
0.137 0.496 0.319
0.137 0.496 0.681
0.245 0.478 0.140
0.245 0.478 0.860
0.247 0.247 0.252
0.247 0.247 0.748
0.253 0.747 0.248
0.253 0.747 0.752
0.255 0.978 0.360
0.255 0.978 0.640
0.363 0.996 0.181
0.363 0.996 0.819
0.478 0.245 0.140
0.478 0.245 0.860
0.496 0.137 0.319
0.496 0.137 0.681
0.500 0.000 0.000
0.500 0.000 0.500
0.500 0.500 0.000
0.504 0.863 0.319
0.504 0.863 0.681
0.522 0.755 0.140
0.522 0.755 0.860
0.637 0.004 0.181
0.637 0.004 0.819
0.745 0.022 0.360
0.745 0.022 0.640
0.747 0.253 0.248
0.747 0.253 0.752
0.753 0.753 0.252
0.753 0.753 0.748
0.755 0.522 0.140
0.755 0.522 0.860
0.863 0.504 0.319
0.863 0.504 0.681
0.978 0.255 0.360
0.978 0.255 0.640
0.996 0.363 0.181
0.996 0.363 0.819
0.003 0.740 0.500
0.008 0.788 0.101
0.008 0.788 0.899
0.147 0.147 0.352
0.147 0.147 0.648
0.212 0.992 0.101
0.212 0.992 0.899
0.240 0.497 0.000
0.260 0.997 0.500
0.288 0.492 0.399
0.288 0.492 0.601
0.353 0.647 0.148
0.353 0.647 0.852
0.492 0.288 0.399
0.492 0.288 0.601
0.497 0.240 0.000
0.503 0.760 0.000
0.508 0.712 0.399
0.508 0.712 0.601
0.647 0.353 0.148
0.647 0.353 0.852
0.712 0.508 0.399
0.712 0.508 0.601
0.740 0.003 0.500
0.760 0.503 0.000
0.788 0.008 0.101
0.788 0.008 0.899
0.853 0.853 0.352
0.853 0.853 0.648
0.992 0.212 0.101
0.992 0.212 0.899
0.997 0.260 0.500
```

=====

Entry 3:
The following is a DFT calculation (PBE-GGA) of a geometry-optimized MoH8S4N2 structure.

```
MoH8S4N2
1.0
9.773 0.000 0.000
0.000 7.087 0.000
0.000 0.000 12.384
Mo H S N
4 32 16 8
Direct
0.246 0.250 0.073
0.254 0.750 0.573
0.746 0.250 0.427
0.754 0.750 0.927
0.008 0.750 0.271
0.018 0.750 0.407
0.083 0.750 0.840
0.110 0.131 0.657
0.110 0.369 0.657
0.163 0.630 0.940
0.163 0.870 0.940
0.244 0.250 0.347
0.256 0.750 0.847
0.337 0.130 0.440
0.337 0.370 0.440
0.390 0.631 0.157
0.390 0.869 0.157
0.417 0.250 0.340
0.482 0.250 0.907
0.492 0.250 0.771
0.508 0.750 0.229
0.518 0.750 0.093
0.583 0.750 0.660
0.610 0.131 0.843
0.610 0.369 0.843
0.663 0.630 0.560
0.663 0.870 0.560
0.744 0.250 0.153
0.756 0.750 0.653
0.837 0.130 0.060
0.837 0.370 0.060
0.890 0.631 0.343
0.890 0.869 0.343
0.917 0.250 0.160
0.982 0.250 0.593
0.992 0.250 0.729
0.033 0.750 0.611
0.148 0.502 0.142
0.148 0.998 0.142
0.216 0.250 0.897
0.284 0.750 0.397
0.352 0.002 0.642
0.352 0.498 0.642
0.467 0.250 0.111
0.533 0.750 0.889
0.648 0.502 0.358
0.648 0.998 0.358
0.716 0.250 0.603
0.784 0.750 0.103
0.852 0.002 0.858
0.852 0.498 0.858
0.967 0.250 0.389
0.048 0.250 0.659
0.167 0.750 0.891
0.333 0.250 0.391
0.452 0.750 0.159
0.548 0.250 0.841
0.667 0.750 0.609
0.833 0.250 0.109
0.952 0.750 0.341
```

=====

Entry 4:
The following is a DFT calculation (PBE-GGA) of a geometry-optimized Mo9HS18 structure.

```
Mo9HS18
1.0
3.168 0.000 0.000
0.000 13.205 0.000
0.000 0.000 43.298
Mo H S
18 2 36
Direct
0.000 0.000 0.000
0.000 0.000 0.124
0.000 0.000 0.617
0.000 0.000 0.745
0.000 0.000 0.872
0.000 0.500 0.043
0.000 0.500 0.659
0.000 0.500 0.787
0.000 0.500 0.915
0.500 0.000 0.064
0.500 0.000 0.681
0.500 0.000 0.808
0.500 0.000 0.936
0.500 0.500 0.104
0.500 0.500 0.598
0.500 0.500 0.723
0.500 0.500 0.851
0.500 0.500 0.979
0.000 0.403 0.160
0.000 0.597 0.160
0.000 0.118 0.043
0.000 0.119 0.659
0.000 0.119 0.787
0.000 0.119 0.915
0.000 0.379 0.616
0.000 0.380 0.129
0.000 0.381 0.744
0.000 0.382 0.000
0.000 0.382 0.872
0.000 0.618 0.000
0.000 0.618 0.872
0.000 0.619 0.744
0.000 0.620 0.129
0.000 0.621 0.616
0.000 0.881 0.659
0.000 0.881 0.787
0.000 0.881 0.915
0.000 0.882 0.043
0.500 0.114 0.594
0.500 0.119 0.723
0.500 0.119 0.851
0.500 0.119 0.979
0.500 0.121 0.107
0.500 0.378 0.064
0.500 0.381 0.808
0.500 0.381 0.936
0.500 0.382 0.680
0.500 0.618 0.680
0.500 0.619 0.808
0.500 0.619 0.936
0.500 0.622 0.064
0.500 0.879 0.107
0.500 0.881 0.723
0.500 0.881 0.851
0.500 0.881 0.979
0.500 0.886 0.594
```

=====

Entry 5:
The following is a DFT calculation (PBE-GGA) of a geometry-optimized Na2NiH14N6 structure.

```
Na2NiH14N6
1.0
-4.531 4.531 5.674
4.531 -4.531 5.674
4.531 4.531 -5.674
Na Ni H N
4 2 28 12
Direct
0.100 0.765 0.865
0.235 0.100 0.336
0.765 0.900 0.664
0.900 0.235 0.135
0.176 0.176 0.000
0.824 0.824 0.000
0.007 0.626 0.031
0.024 0.993 0.619
0.041 0.765 0.253
0.144 0.414 0.558
0.210 0.412 0.766
0.212 0.959 0.724
0.235 0.488 0.276
0.354 0.556 0.766
0.374 0.405 0.381
0.405 0.024 0.031
0.412 0.646 0.202
0.414 0.856 0.271
0.444 0.210 0.798
0.488 0.212 0.253
0.512 0.788 0.747
0.556 0.790 0.202
0.586 0.144 0.729
0.588 0.354 0.798
0.595 0.976 0.969
0.626 0.595 0.619
0.646 0.444 0.234
0.765 0.512 0.724
0.788 0.041 0.276
0.790 0.588 0.234
0.856 0.586 0.442
0.959 0.235 0.747
0.976 0.007 0.381
0.993 0.374 0.969
0.033 0.764 0.130
0.096 0.967 0.731
0.216 0.502 0.718
0.236 0.366 0.269
0.366 0.096 0.130
0.498 0.216 0.714
0.502 0.784 0.286
0.634 0.904 0.870
0.764 0.634 0.731
0.784 0.498 0.282
0.904 0.033 0.269
0.967 0.236 0.870
```

=====

Entry 6:
The following is a DFT calculation (PBE-GGA) of a geometry-optimized Na3P3H5N3O7 structure.

```
Na3P3H5N3O7
1.0
5.007 -6.182 0.000
5.007 6.182 0.000
-1.913 0.000 7.465
Na P H N O
6 6 10 6 14
Direct
0.000 0.000 0.000
0.366 0.077 0.428
0.697 0.303 0.000
0.732 0.023 0.612
0.923 0.634 0.572
0.977 0.268 0.388
0.070 0.381 0.845
0.091 0.627 0.195
0.327 0.380 0.173
0.373 0.909 0.805
0.619 0.930 0.155
0.620 0.673 0.827
0.024 0.929 0.394
0.071 0.976 0.606
0.083 0.670 0.912
0.324 0.611 0.701
0.330 0.917 0.088
0.360 0.371 0.879
0.389 0.676 0.299
0.629 0.640 0.121
0.631 0.343 0.394
0.657 0.369 0.606
0.039 0.565 0.969
0.261 0.346 0.948
0.282 0.571 0.259
0.429 0.718 0.741
0.435 0.961 0.031
0.654 0.739 0.052
0.094 0.429 0.668
0.129 0.827 0.233
0.173 0.871 0.767
0.217 0.234 0.241
0.474 0.050 0.724
0.525 0.408 0.210
0.571 0.906 0.332
0.592 0.475 0.790
0.692 0.308 0.500
0.766 0.783 0.759
0.773 0.075 0.146
0.925 0.227 0.854
0.950 0.526 0.276
0.999 0.001 0.500
```

=====

Number 1: formation enthalpy at 0 K -411 meV/atom, electronic total energy -224.8 eV/cell. Number 2: formation enthalpy at 0 K -164 meV/atom, electronic total energy -628.0 eV/cell. Number 3: formation enthalpy at 0 K -577 meV/atom, electronic total energy -308.5 eV/cell. Number 4: formation enthalpy at 0 K -1005 meV/atom, electronic total energy -389.1 eV/cell. Number 5: formation enthalpy at 0 K -391 meV/atom, electronic total energy -225.6 eV/cell. Number 6: formation enthalpy at 0 K -1674 meV/atom, electronic total energy -254.3 eV/cell.